# Ti3B4 (PBE-GGA, relaxed)
data_Ti3B4
_chemical_formula_sum 'Ti6 B8'
_cell_length_a 3.0390
_cell_length_b 3.2566
_cell_length_c 13.7574
_cell_angle_alpha 90.00
_cell_angle_beta 90.00
_cell_angle_gamma 90.00
_symmetry_space_group_name_H-M 'I m m m'
_symmetry_Int_Tables_number 71
_symmetry_space_group_name_Hall '-I 2 2'
loop_
_atom_site_label
_atom_site_type_symbol
_atom_site_fract_x
_atom_site_fract_y
_atom_site_fract_z
Ti1 Ti 0.0000 0.0000 0.0000
Ti2 Ti 0.0000 0.5000 0.3144
B1 B 0.0000 0.0000 0.4357
B2 B 0.0000 0.5000 0.1313
# **Energy of formation**: -933 meV/atom